[1]
## Sr3NbO6 (PBE)

Data for an optimized crystal structure of Sr3NbO6.

Results
The spin magnetization is 1.00 μB/f.u. The calculation puts the uncorrected energy at -69.6 eV per cell. As for the formation energy: -2.890 eV per atom. As for the energy with MP2020 corrections: -7.38 eV/atom. The space group is Fm-3m, No. 225. The calculation puts the theoretical density at 4.521 g/cm3.

extended XYZ file:
```
10
Lattice="0.000 4.361 4.361 4.361 0.000 4.361 4.361 4.361 0.000" Properties=species:S:1:pos:R:3 pbc="T T T"
Sr 0.000 0.000 0.000
Sr 2.181 2.181 2.181
Sr 6.542 6.542 6.542
Nb 4.361 4.361 4.361
O 4.361 4.361 2.361
O 4.361 2.361 4.361
O 6.361 4.361 4.361
O 2.361 4.361 4.361
O 4.361 6.361 4.361
O 4.361 4.361 6.361
```


[2]
## Sr7Nb34O52 (PBE)

Data for an optimized crystal structure of Sr7Nb34O52.

Results
The spin magnetization is 0.00 μB/f.u. The calculation puts the uncorrected energy at -831.1 eV per cell. As for the formation energy: -2.733 eV per atom. As for the energy with MP2020 corrections: -9.32 eV/atom. The space group is Cm, No. 8. The calculation puts the theoretical density at 6.167 g/cm3.

extended XYZ file:
```
93
Lattice="12.148 -4.191 0.000 12.148 4.191 0.000 -12.116 0.000 12.176" Properties=species:S:1:pos:R:3 pbc="T T T"
Sr 0.000 0.000 0.000
Sr -2.207 0.000 3.566
Sr 3.542 0.000 2.233
Sr 1.329 0.000 5.825
Sr 0.028 0.000 12.171
Sr 9.928 0.000 3.567
Sr 15.688 0.000 2.261
Nb -3.558 2.094 10.079
Nb -8.338 0.000 9.737
Nb 6.407 2.095 1.395
Nb -0.797 2.093 9.284
Nb 4.204 2.114 5.017
Nb 9.228 2.096 0.745
Nb 2.136 2.121 8.607
Nb 7.042 2.095 4.362
Nb -2.448 0.000 8.184
Nb 4.912 2.095 7.852
Nb -4.624 0.000 11.929
Nb 2.800 2.094 11.464
Nb 7.880 2.094 7.124
Nb 12.809 2.082 2.899
Nb 5.626 2.092 10.802
Nb 10.721 2.071 6.443
Nb 5.958 0.000 5.995
Nb -3.558 -2.094 10.079
Nb 3.784 0.000 9.719
Nb 6.407 -2.095 1.395
Nb -0.797 -2.093 9.284
Nb 4.204 -2.114 5.017
Nb 9.228 -2.096 0.745
Nb 2.136 -2.121 8.607
Nb 7.042 -2.095 4.362
Nb 9.702 0.000 8.198
Nb 4.912 -2.095 7.852
Nb 7.520 0.000 11.930
Nb 2.800 -2.094 11.464
Nb 7.880 -2.094 7.124
Nb 12.809 -2.082 2.899
Nb 5.626 -2.092 10.802
Nb 10.721 -2.071 6.443
Nb 18.119 0.000 6.001
O 2.476 2.035 3.707
O -7.173 0.000 7.910
O 0.315 1.992 7.482
O -9.385 0.000 11.601
O 5.241 2.089 3.219
O -4.345 0.000 7.176
O -1.712 2.091 11.189
O 0.662 0.000 2.824
O 3.086 2.010 6.760
O -6.440 0.000 10.753
O 8.219 2.094 2.541
O -1.434 0.000 6.330
O 1.015 2.096 10.453
O -3.623 0.000 10.022
O 11.005 2.097 1.940
O 6.273 0.000 1.443
O 8.949 2.101 5.269
O -0.772 0.000 9.424
O 13.691 2.100 1.050
O 4.107 0.000 4.957
O 6.755 2.093 8.968
O 11.815 2.205 4.599
O 9.362 0.000 0.785
O 2.096 0.000 8.534
O 16.652 2.092 0.482
O 7.180 0.000 4.306
O 2.476 -2.035 3.707
O 4.976 0.000 7.911
O 0.315 -1.992 7.482
O 2.754 0.000 11.592
O 5.241 -2.089 3.219
O 7.793 0.000 7.182
O -1.712 -2.091 11.189
O 12.780 0.000 2.781
O 3.086 -2.010 6.760
O 5.696 0.000 10.746
O 8.219 -2.094 2.541
O 10.646 0.000 6.297
O 1.015 -2.096 10.453
O 8.523 0.000 10.024
O 11.005 -2.097 1.940
O 18.418 0.000 1.447
O 8.949 -2.101 5.269
O 11.388 0.000 9.421
O 13.691 -2.100 1.050
O 16.310 0.000 4.914
O 6.755 -2.093 8.968
O 21.507 0.000 0.781
O 11.815 -2.205 4.599
O 14.238 0.000 8.591
O 16.652 -2.092 0.482
O 19.332 0.000 4.306
```


[3]
## Sr4Nb2O9 (PBE)

Data for an optimized crystal structure of Sr4Nb2O9.

Results
The spin magnetization is 0.00 μB/f.u. The calculation puts the uncorrected energy at -229.2 eV per cell. As for the formation energy: -3.287 eV per atom. As for the energy with MP2020 corrections: -8.05 eV/atom. As for the polymorph energy (0 for the lowest one): 0 meV/atom. The space group is P-3, No. 147. The calculation puts the theoretical density at 4.623 g/cm3.

extended XYZ file:
```
30
Lattice="5.949 0.000 0.000 -2.975 5.152 0.000 0.000 0.000 15.943" Properties=species:S:1:pos:R:3 pbc="T T T"
Sr 0.000 0.000 0.000
Sr 0.000 0.000 3.985
Sr 0.000 0.000 7.971
Sr 0.000 0.000 11.958
Sr 0.000 3.435 2.277
Sr 0.000 3.435 5.773
Sr 2.975 1.717 10.170
Sr 2.975 1.717 13.666
Nb 0.000 3.435 10.405
Nb 0.000 3.435 13.463
Nb 2.975 1.717 2.480
Nb 2.975 1.717 5.538
O -1.547 3.057 11.941
O -0.577 1.811 14.288
O -0.573 1.848 9.556
O -1.118 4.746 14.288
O -1.087 4.725 9.556
O 1.280 1.405 1.655
O 1.314 1.421 6.387
O 1.101 2.284 11.941
O 2.528 0.189 4.002
O 0.446 4.963 11.941
O 1.874 2.868 4.002
O 1.661 3.731 9.556
O 1.695 3.747 14.288
O 4.062 0.427 6.387
O 4.092 0.406 1.655
O 3.548 3.304 6.387
O 3.552 3.341 1.655
O 4.522 2.095 4.002
```


[4]
## Sr4Nb2O9 (PBE)

Data for an optimized crystal structure of Sr4Nb2O9.

Results
The spin magnetization is 0.00 μB/f.u. The calculation puts the uncorrected energy at -229.2 eV per cell. As for the formation energy: -3.285 eV per atom. As for the energy with MP2020 corrections: -8.05 eV/atom. As for the polymorph energy (0 for the lowest one): 2 meV/atom. The space group is P-1, No. 2. The calculation puts the theoretical density at 4.656 g/cm3.

extended XYZ file:
```
30
Lattice="5.933 0.000 0.000 2.962 5.172 0.000 0.006 -0.003 15.812" Properties=species:S:1:pos:R:3 pbc="T T T"
Sr 0.000 0.000 0.000
Sr 0.003 -0.002 7.906
Sr 0.050 0.045 3.915
Sr 2.989 1.756 2.268
Sr 3.064 1.857 5.802
Sr 5.837 3.313 10.010
Sr 5.911 3.413 13.543
Sr 8.851 5.124 11.897
Nb 2.931 1.676 13.339
Nb 2.908 1.579 10.292
Nb 5.992 3.590 5.520
Nb 5.969 3.494 2.472
O 1.852 2.812 11.822
O 1.128 1.199 9.680
O 1.234 1.352 14.150
O 3.511 3.295 14.179
O 3.425 3.097 9.268
O 4.810 4.797 1.666
O 4.924 4.929 6.357
O 2.494 0.080 11.866
O 4.463 3.135 4.051
O 4.438 2.034 11.761
O 6.407 5.090 3.946
O 3.976 0.240 9.454
O 4.090 0.372 14.146
O 5.476 2.073 6.544
O 5.390 1.874 1.633
O 7.667 3.817 1.662
O 7.772 3.971 6.132
O 7.049 2.357 3.990
```


[5]
## Sr4Nb2O9 (PBE)

Data for an optimized crystal structure of Sr4Nb2O9.

Results
The spin magnetization is 0.00 μB/f.u. The calculation puts the uncorrected energy at -227.0 eV per cell. As for the formation energy: -3.211 eV per atom. As for the energy with MP2020 corrections: -7.98 eV/atom. As for the polymorph energy (0 for the lowest one): 76 meV/atom. The space group is P1, No. 1. The calculation puts the theoretical density at 5.106 g/cm3.

extended XYZ file:
```
30
Lattice="5.877 0.000 0.000 2.878 5.130 0.000 0.172 0.017 14.677" Properties=species:S:1:pos:R:3 pbc="T T T"
Sr 0.000 0.000 0.000
Sr 0.311 0.230 10.780
Sr 2.782 1.890 4.742
Sr 3.143 1.675 12.446
Sr 5.682 3.740 6.666
Sr 5.755 3.466 2.644
Sr 6.016 3.618 10.152
Sr 5.681 0.358 7.183
Nb 2.879 1.758 1.335
Nb 2.951 1.703 8.761
Nb 6.023 3.452 13.594
Nb 5.821 0.026 3.794
O 1.337 2.306 0.191
O 1.987 3.294 8.004
O 2.544 3.464 2.396
O 1.953 2.225 10.454
O 1.532 0.707 2.474
O 1.735 0.089 8.708
O 4.165 4.058 4.666
O 4.728 4.469 12.576
O 3.280 0.968 6.842
O 4.268 2.837 0.322
O 3.203 0.083 0.247
O 4.837 2.292 8.475
O 3.964 0.685 10.280
O 4.387 1.167 2.623
O 5.708 1.820 12.670
O 7.285 4.345 4.760
O 7.568 4.064 12.720
O 6.093 1.565 4.917
```


[6]
## Sr5Nb4O15 (PBE)

Data for an optimized crystal structure of Sr5Nb4O15.

Results
The calculation puts the uncorrected energy at -383.9 eV per cell. As for the formation energy: -3.299 eV per atom. As for the energy with MP2020 corrections: -8.43 eV/atom. As for the polymorph energy (0 for the lowest one): 0 meV/atom. The space group is P-3c1, No. 165. The calculation puts the theoretical density at 5.248 g/cm3.

extended XYZ file:
```
48
Lattice="5.738 0.000 0.000 -2.869 4.969 0.000 0.000 0.000 23.297" Properties=species:S:1:pos:R:3 pbc="T T T"
Sr 0.000 0.000 5.824
Sr 0.000 0.000 17.473
Sr 0.000 3.313 3.266
Sr 0.000 3.313 10.970
Sr 0.000 3.313 14.915
Sr 0.000 3.313 22.619
Sr 2.869 1.656 0.678
Sr 2.869 1.656 8.382
Sr 2.869 1.656 12.327
Sr 2.869 1.656 20.031
Nb 0.000 0.000 2.115
Nb 0.000 0.000 9.533
Nb 0.000 0.000 13.764
Nb 0.000 0.000 21.182
Nb 0.000 3.313 7.050
Nb 0.000 3.313 18.699
Nb 2.869 1.656 4.598
Nb 2.869 1.656 16.247
O -1.308 2.266 5.824
O -1.561 2.703 17.473
O -0.376 1.654 1.284
O -1.624 3.817 12.932
O -0.271 1.646 19.716
O -1.579 3.911 8.067
O 0.271 1.646 8.067
O -1.308 4.381 19.716
O 0.376 1.654 12.932
O -1.249 4.468 1.284
O 1.561 0.588 15.230
O 1.290 1.058 3.581
O 1.620 0.502 10.365
O 1.245 1.152 22.013
O 2.616 0.000 5.824
O 1.308 2.266 17.473
O 3.121 0.000 17.473
O 1.561 2.703 5.824
O 1.624 3.817 1.284
O 1.249 4.468 12.932
O 1.579 3.911 19.716
O 1.308 4.381 8.067
O 4.118 0.502 22.013
O 2.493 3.315 10.365
O 4.177 0.588 3.581
O 2.598 3.323 15.230
O 4.448 1.058 15.230
O 3.140 3.323 3.581
O 4.493 1.152 10.365
O 3.245 3.315 22.013
```


[7]
## SrNb4O14 (PBE)

Data for an optimized crystal structure of SrNb4O14.

Results
The spin magnetization is 6.00 μB/f.u. The calculation puts the uncorrected energy at -145.6 eV per cell. As for the formation energy: -2.309 eV per atom. As for the energy with MP2020 corrections: -8.17 eV/atom. The space group is R-3m, No. 166. The calculation puts the theoretical density at 3.715 g/cm3.

extended XYZ file:
```
19
Lattice="3.768 2.176 6.209 -3.768 2.176 6.209 0.000 -4.351 6.209" Properties=species:S:1:pos:R:3 pbc="T T T"
Sr 0.000 0.000 0.000
Nb -1.884 -1.088 6.209
Nb -1.884 1.088 12.418
Nb 0.000 2.176 6.209
Nb 0.000 0.000 9.313
O 0.000 0.000 2.718
O 0.000 -1.682 5.867
O -1.456 0.841 5.867
O -1.394 -0.805 8.126
O -1.456 -0.841 12.759
O 0.000 -1.609 10.500
O -1.394 0.805 10.500
O 1.394 -0.805 8.126
O 0.000 1.609 8.126
O 1.456 0.841 5.867
O 1.394 0.805 10.500
O 1.456 -0.841 12.759
O 0.000 1.682 12.759
O 0.000 0.000 15.908
```


[8]
## Sr4Nb2O9 (PBE)

Data for an optimized crystal structure of Sr4Nb2O9.

Results
The spin magnetization is 0.00 μB/f.u. The calculation puts the uncorrected energy at -453.5 eV per cell. As for the formation energy: -3.204 eV per atom. As for the energy with MP2020 corrections: -7.97 eV/atom. As for the polymorph energy (0 for the lowest one): 84 meV/atom. The space group is C2/c, No. 15. The calculation puts the theoretical density at 4.798 g/cm3.

extended XYZ file:
```
60
Lattice="5.381 -8.965 0.000 5.381 8.965 0.000 -3.722 0.000 9.763" Properties=species:S:1:pos:R:3 pbc="T T T"
Sr 2.589 7.596 7.322
Sr -0.529 1.576 6.205
Sr 1.029 4.202 8.429
Sr 4.450 4.442 2.441
Sr 1.333 -1.576 1.324
Sr 2.646 1.509 3.697
Sr 4.149 4.202 6.215
Sr 0.785 -1.509 8.578
Sr 6.254 1.509 1.184
Sr 2.890 -4.202 3.547
Sr 4.393 -1.509 6.065
Sr 5.707 1.576 8.439
Sr 2.589 -4.442 7.322
Sr 6.010 -4.202 1.334
Sr 7.568 -1.576 3.558
Sr 4.450 -7.596 2.441
Nb 0.829 4.482 4.881
Nb -1.016 1.526 9.723
Nb 0.845 -1.526 4.841
Nb 2.589 1.370 7.322
Nb 2.690 -4.482 0.000
Nb 4.450 -1.370 2.441
Nb 6.194 1.526 4.921
Nb 8.055 -1.526 0.040
O 3.188 6.117 1.290
O 1.746 5.844 5.973
O 1.173 1.359 1.081
O 2.393 4.455 3.670
O 0.578 0.042 3.716
O -1.283 -0.042 8.597
O 1.731 2.995 6.125
O -0.688 -1.359 5.962
O 3.939 2.607 0.983
O 0.929 1.547 8.371
O 3.432 5.844 8.671
O 5.713 6.117 3.591
O 1.840 0.112 6.074
O 3.701 -0.112 1.192
O 6.508 4.455 1.211
O 4.961 2.607 3.898
O 3.447 2.995 8.519
O 2.790 -1.547 3.490
O 4.249 1.547 6.273
O 3.592 -2.995 1.243
O 2.078 -2.607 5.865
O 0.532 -4.455 8.551
O 3.338 0.112 8.570
O 5.199 -0.112 3.689
O 1.326 -6.117 6.172
O 3.607 -5.844 1.092
O 6.110 -1.547 1.392
O 3.100 -2.607 8.779
O 7.727 1.359 3.800
O 5.309 -2.995 3.638
O 8.322 0.042 1.166
O 6.461 -0.042 6.047
O 4.646 -4.455 6.092
O 5.866 -1.359 8.681
O 5.293 -5.844 3.789
O 3.852 -6.117 8.472
```